Here is an optimized crystal structure of Na2ZrS3 from Materials Project. Energies are from r2SCAN.

a b c (Å): 6.6574 6.6574 6.9221
angles (deg): 99.32 99.32 120.04
With the nearest neighbours (Å) after each atom.
Positions (direct):
1 Na 0.0000 0.0000 0.0000  6 S 2.81
2 Na 0.1585 0.8415 0.5000  6 S 2.78-2.96
3 Na 0.5000 0.5000 0.5000  6 S 2.74-2.94
4 Na 0.8415 0.1585 0.5000  6 S 2.78-2.96
5 Zr 0.3318 0.6682 0.0000  6 S 2.57-2.60
6 Zr 0.6682 0.3318 0.0000  6 S 2.57-2.60
7 S 0.0750 0.4359 0.2230  2 Zr 2.57-2.58, 2 Na 2.78-2.81
8 S 0.2854 0.2854 0.7772  2 Zr 2.60, 4 Na 2.74-2.88
9 S 0.4359 0.0750 0.2230  2 Zr 2.57-2.58, 2 Na 2.78-2.81
10 S 0.5641 0.9250 0.7770  2 Zr 2.57-2.58, 2 Na 2.78-2.81
11 S 0.7146 0.7146 0.2228  2 Zr 2.60, 4 Na 2.74-2.88
12 S 0.9250 0.5641 0.7770  2 Zr 2.57-2.58, 2 Na 2.78-2.81

Summary:
Total DFT energy (no corrections)   -10.708 eV per atom
Space-group type   C2/m (12)